No. 1
{
  "formula": "VP2O7",
  "functional": "PBE with a Hubbard U",
  "state": "relaxed",
  "de_polymorph_mev_per_atom": 0,
  "total_energy_ev_per_atom": -7.431,
  "formation_enthalpy_0k_kj_per_mol_atoms": -253,
  "lattice_angstrom": [[-2.947, 2.071, -3.753], [-4.408, -5.067, 0.490], [-5.898, 1.915, 5.378]],
  "species": ["V", "V", "P", "P", "P", "P", "O", "O", "O", "O", "O", "O", "O", "O", "O", "O", "O", "O", "O", "O"],
  "frac_coords": [[0.242, 0.208, 0.731], [0.758, 0.792, 0.269], [0.243, 0.108, 0.166], [0.275, 0.456, 0.312], [0.725, 0.544, 0.688], [0.757, 0.892, 0.834], [0.030, 0.958, 0.765], [0.070, 0.626, 0.258], [0.211, 0.282, 0.488], [0.278, 0.342, 0.170], [0.275, 0.137, 0.973], [0.452, 0.966, 0.273], [0.453, 0.461, 0.693], [0.547, 0.539, 0.307], [0.548, 0.034, 0.727], [0.725, 0.863, 0.027], [0.970, 0.042, 0.235], [0.789, 0.718, 0.512], [0.930, 0.374, 0.742], [0.722, 0.658, 0.830]]
}

---

No. 2
{
  "formula": "VP2O7",
  "functional": "PBE with a Hubbard U",
  "state": "relaxed",
  "de_polymorph_mev_per_atom": 2,
  "total_energy_ev_per_atom": -7.429,
  "formation_enthalpy_0k_kj_per_mol_atoms": -253,
  "lattice_angstrom": [[-3.502, -1.836, -6.973], [4.378, -0.741, -2.004], [1.484, -6.753, 1.033]],
  "species": ["V", "V", "P", "P", "P", "P", "O", "O", "O", "O", "O", "O", "O", "O", "O", "O", "O", "O", "O", "O"],
  "frac_coords": [[0.002, 0.786, 0.727], [0.502, 0.214, 0.273], [0.233, 0.235, 0.896], [0.819, 0.392, 0.491], [0.733, 0.765, 0.104], [0.319, 0.608, 0.509], [0.828, 0.586, 0.632], [0.835, 0.857, 0.914], [0.084, 0.426, 0.908], [0.362, 0.411, 0.729], [0.177, 0.971, 0.833], [0.862, 0.589, 0.271], [0.949, 0.156, 0.538], [0.328, 0.414, 0.368], [0.677, 0.029, 0.167], [0.642, 0.278, 0.485], [0.335, 0.143, 0.086], [0.142, 0.722, 0.515], [0.584, 0.574, 0.092], [0.449, 0.844, 0.462]]
}

---

No. 3
{
  "formula": "VP2O7",
  "functional": "PBE with a Hubbard U",
  "state": "relaxed",
  "de_polymorph_mev_per_atom": 3,
  "total_energy_ev_per_atom": -7.428,
  "formation_enthalpy_0k_kj_per_mol_atoms": -253,
  "lattice_angstrom": [[-4.646, 0.342, 2.260], [-3.710, -3.047, -7.164], [-1.390, -13.184, -0.862]],
  "species": ["V", "V", "V", "V", "P", "P", "P", "P", "P", "P", "P", "P", "O", "O", "O", "O", "O", "O", "O", "O", "O", "O", "O", "O", "O", "O", "O", "O", "O", "O", "O", "O", "O", "O", "O", "O", "O", "O", "O", "O"],
  "frac_coords": [[0.261, 0.728, 0.536], [0.761, 0.272, 0.964], [0.239, 0.728, 0.036], [0.739, 0.272, 0.464], [0.257, 0.163, 0.359], [0.757, 0.837, 0.141], [0.274, 0.312, 0.113], [0.726, 0.688, 0.887], [0.243, 0.163, 0.859], [0.743, 0.837, 0.641], [0.226, 0.312, 0.613], [0.774, 0.688, 0.387], [0.972, 0.237, 0.854], [0.586, 0.727, 0.460], [0.086, 0.273, 0.040], [0.219, 0.484, 0.118], [0.235, 0.971, 0.445], [0.028, 0.763, 0.146], [0.528, 0.237, 0.354], [0.959, 0.731, 0.625], [0.414, 0.273, 0.540], [0.041, 0.269, 0.375], [0.472, 0.763, 0.646], [0.281, 0.484, 0.618], [0.945, 0.301, 0.583], [0.781, 0.516, 0.882], [0.265, 0.971, 0.945], [0.222, 0.162, 0.239], [0.541, 0.731, 0.125], [0.778, 0.838, 0.761], [0.722, 0.838, 0.261], [0.555, 0.301, 0.083], [0.719, 0.516, 0.382], [0.735, 0.029, 0.055], [0.445, 0.699, 0.917], [0.055, 0.699, 0.417], [0.765, 0.029, 0.555], [0.278, 0.162, 0.739], [0.914, 0.727, 0.960], [0.459, 0.269, 0.875]]
}

---

No. 4
{
  "formula": "V3P4O14",
  "functional": "PBE with a Hubbard U",
  "state": "relaxed",
  "de_polymorph_mev_per_atom": 0,
  "total_energy_ev_per_atom": -7.559,
  "formation_enthalpy_0k_kj_per_mol_atoms": -254,
  "m_tot_mub_per_fu": 7.0,
  "lattice_angstrom": [[8.035, 0.000, 0.000], [0.000, 7.237, 0.000], [0.000, 3.336, 8.977]],
  "species": ["V", "V", "V", "V", "V", "V", "P", "P", "P", "P", "P", "P", "P", "P", "O", "O", "O", "O", "O", "O", "O", "O", "O", "O", "O", "O", "O", "O", "O", "O", "O", "O", "O", "O", "O", "O", "O", "O", "O", "O", "O", "O"],
  "frac_coords": [[0.629, 0.189, 0.473], [0.871, 0.189, 0.973], [0.129, 0.811, 0.027], [0.500, 0.000, 0.000], [0.371, 0.811, 0.527], [0.000, 0.000, 0.500], [0.709, 0.881, 0.304], [0.051, 0.599, 0.793], [0.449, 0.599, 0.293], [0.551, 0.401, 0.707], [0.949, 0.401, 0.207], [0.291, 0.119, 0.696], [0.791, 0.881, 0.804], [0.209, 0.119, 0.196], [0.614, 0.271, 0.864], [0.710, 0.998, 0.134], [0.079, 0.036, 0.111], [0.377, 0.139, 0.123], [0.790, 0.998, 0.634], [0.421, 0.036, 0.611], [0.290, 0.002, 0.866], [0.921, 0.964, 0.889], [0.623, 0.861, 0.877], [0.210, 0.002, 0.366], [0.579, 0.964, 0.389], [0.862, 0.673, 0.811], [0.160, 0.633, 0.912], [0.877, 0.861, 0.377], [0.114, 0.729, 0.636], [0.522, 0.617, 0.682], [0.638, 0.673, 0.311], [0.840, 0.367, 0.088], [0.386, 0.729, 0.136], [0.022, 0.383, 0.818], [0.978, 0.617, 0.182], [0.138, 0.327, 0.189], [0.660, 0.367, 0.588], [0.362, 0.327, 0.689], [0.478, 0.383, 0.318], [0.886, 0.271, 0.364], [0.123, 0.139, 0.623], [0.340, 0.633, 0.412]]
}

---

No. 5
{
  "formula": "V3P2O20",
  "functional": "PBE with a Hubbard U",
  "state": "relaxed",
  "total_energy_ev_per_atom": -6.244,
  "formation_enthalpy_0k_kj_per_mol_atoms": -106,
  "m_tot_mub_per_fu": 10.1,
  "lattice_angstrom": [[-2.768, -1.569, 5.299], [-0.462, -7.503, -2.427], [15.329, -3.223, 7.051]],
  "species": ["V", "V", "V", "V", "V", "V", "P", "P", "P", "P", "O", "O", "O", "O", "O", "O", "O", "O", "O", "O", "O", "O", "O", "O", "O", "O", "O", "O", "O", "O", "O", "O", "O", "O", "O", "O", "O", "O", "O", "O", "O", "O", "O", "O", "O", "O", "O", "O", "O", "O"],
  "frac_coords": [[0.003, 0.379, 0.761], [0.503, 0.879, 0.739], [0.997, 0.621, 0.239], [0.497, 0.121, 0.261], [0.000, 0.000, 0.000], [0.500, 0.500, 0.500], [0.999, 0.955, 0.806], [0.499, 0.455, 0.694], [0.001, 0.045, 0.194], [0.501, 0.545, 0.306], [0.986, 0.180, 0.602], [0.486, 0.680, 0.898], [0.014, 0.820, 0.398], [0.514, 0.320, 0.102], [0.999, 0.147, 0.791], [0.499, 0.647, 0.709], [0.001, 0.853, 0.209], [0.501, 0.353, 0.291], [0.700, 0.370, 0.734], [0.200, 0.870, 0.766], [0.300, 0.630, 0.266], [0.800, 0.130, 0.234], [0.305, 0.370, 0.736], [0.805, 0.870, 0.764], [0.695, 0.630, 0.264], [0.195, 0.130, 0.236], [0.001, 0.502, 0.835], [0.501, 0.002, 0.665], [0.999, 0.498, 0.165], [0.499, 0.998, 0.335], [0.996, 0.508, 0.673], [0.496, 0.008, 0.827], [0.004, 0.492, 0.327], [0.504, 0.992, 0.173], [0.741, 0.109, 0.984], [0.241, 0.609, 0.516], [0.259, 0.891, 0.016], [0.759, 0.391, 0.484], [0.862, 0.810, 0.034], [0.362, 0.310, 0.466], [0.138, 0.190, 0.966], [0.638, 0.690, 0.534], [0.993, 0.908, 0.892], [0.493, 0.408, 0.608], [0.007, 0.092, 0.108], [0.507, 0.592, 0.392], [0.350, 0.378, 0.074], [0.850, 0.878, 0.426], [0.650, 0.622, 0.926], [0.150, 0.122, 0.574]]
}

---

No. 6
{
  "formula": "V2P2O9",
  "functional": "PBE with a Hubbard U",
  "state": "relaxed",
  "de_polymorph_mev_per_atom": 0,
  "total_energy_ev_per_atom": -7.496,
  "formation_enthalpy_0k_kj_per_mol_atoms": -249,
  "m_tot_mub_per_fu": 2.0,
  "lattice_angstrom": [[-0.276, 1.841, 7.293], [-8.204, -2.386, 0.291], [2.702, -9.000, 2.374]],
  "species": ["V", "V", "V", "V", "V", "V", "V", "V", "P", "P", "P", "P", "P", "P", "P", "P", "O", "O", "O", "O", "O", "O", "O", "O", "O", "O", "O", "O", "O", "O", "O", "O", "O", "O", "O", "O", "O", "O", "O", "O", "O", "O", "O", "O", "O", "O", "O", "O", "O", "O", "O", "O"],
  "frac_coords": [[0.533, 0.691, 0.496], [0.967, 0.191, 0.996], [0.467, 0.191, 0.004], [0.467, 0.309, 0.504], [0.033, 0.691, 0.504], [0.967, 0.309, 0.496], [0.033, 0.809, 0.004], [0.533, 0.809, 0.996], [0.544, 0.501, 0.798], [0.956, 0.001, 0.298], [0.456, 0.001, 0.702], [0.456, 0.499, 0.202], [0.044, 0.501, 0.202], [0.544, 0.999, 0.298], [0.044, 0.999, 0.702], [0.956, 0.499, 0.798], [0.029, 0.346, 0.854], [0.971, 0.654, 0.146], [0.471, 0.846, 0.354], [0.746, 0.181, 0.974], [0.976, 0.501, 0.637], [0.964, 0.355, 0.140], [0.746, 0.319, 0.474], [0.024, 0.001, 0.863], [0.529, 0.154, 0.646], [0.246, 0.181, 0.026], [0.536, 0.855, 0.640], [0.976, 0.999, 0.137], [0.036, 0.855, 0.360], [0.754, 0.681, 0.474], [0.536, 0.645, 0.140], [0.971, 0.846, 0.646], [0.464, 0.145, 0.360], [0.250, 0.000, 0.668], [0.250, 0.500, 0.168], [0.024, 0.499, 0.363], [0.524, 0.001, 0.137], [0.964, 0.145, 0.640], [0.750, 0.000, 0.332], [0.254, 0.681, 0.526], [0.254, 0.819, 0.026], [0.471, 0.654, 0.854], [0.464, 0.355, 0.860], [0.529, 0.346, 0.146], [0.476, 0.999, 0.863], [0.036, 0.645, 0.860], [0.029, 0.154, 0.354], [0.754, 0.819, 0.974], [0.476, 0.501, 0.363], [0.246, 0.319, 0.526], [0.524, 0.499, 0.637], [0.750, 0.500, 0.832]]
}

---

No. 7
{
  "formula": "VP4O12",
  "functional": "PBE with a Hubbard U",
  "state": "relaxed",
  "de_polymorph_mev_per_atom": 14,
  "total_energy_ev_per_atom": -7.247,
  "formation_enthalpy_0k_kj_per_mol_atoms": -244,
  "lattice_angstrom": [[6.269, 8.451, 0.000], [-6.269, 8.451, 0.000], [0.000, 0.995, 5.148]],
  "species": ["V", "V", "P", "P", "P", "P", "P", "P", "P", "P", "O", "O", "O", "O", "O", "O", "O", "O", "O", "O", "O", "O", "O", "O", "O", "O", "O", "O", "O", "O", "O", "O", "O", "O"],
  "frac_coords": [[0.000, 0.500, 0.500], [0.500, 0.000, 0.500], [0.360, 0.795, 0.323], [0.795, 0.360, 0.323], [0.693, 0.934, 0.963], [0.934, 0.693, 0.963], [0.066, 0.307, 0.037], [0.640, 0.205, 0.677], [0.205, 0.640, 0.677], [0.307, 0.066, 0.037], [0.426, 0.860, 0.497], [0.860, 0.426, 0.497], [0.227, 0.773, 0.500], [0.773, 0.227, 0.500], [0.658, 0.915, 0.254], [0.915, 0.658, 0.254], [0.443, 0.684, 0.186], [0.684, 0.443, 0.186], [0.283, 0.924, 0.129], [0.924, 0.283, 0.129], [0.841, 0.841, 0.895], [0.402, 0.093, 0.199], [0.093, 0.402, 0.199], [0.907, 0.598, 0.801], [0.598, 0.907, 0.801], [0.159, 0.159, 0.105], [0.076, 0.717, 0.871], [0.574, 0.140, 0.503], [0.316, 0.557, 0.814], [0.557, 0.316, 0.814], [0.085, 0.342, 0.746], [0.342, 0.085, 0.746], [0.140, 0.574, 0.503], [0.717, 0.076, 0.871]]
}

---

No. 8
{
  "formula": "V2P2O9",
  "functional": "PBE with a Hubbard U",
  "state": "relaxed",
  "de_polymorph_mev_per_atom": 20,
  "total_energy_ev_per_atom": -7.476,
  "formation_enthalpy_0k_kj_per_mol_atoms": -247,
  "m_tot_mub_per_fu": 2.0,
  "lattice_angstrom": [[-5.303, 3.532, 0.149], [-1.796, -2.988, 6.869], [6.953, 10.175, 6.244]],
  "species": ["V", "V", "V", "V", "V", "V", "V", "V", "P", "P", "P", "P", "P", "P", "P", "P", "O", "O", "O", "O", "O", "O", "O", "O", "O", "O", "O", "O", "O", "O", "O", "O", "O", "O", "O", "O", "O", "O", "O", "O", "O", "O", "O", "O", "O", "O", "O", "O", "O", "O", "O", "O"],
  "frac_coords": [[0.250, 0.850, 0.378], [0.750, 0.150, 0.622], [0.750, 0.350, 0.122], [0.250, 0.650, 0.878], [0.000, 0.500, 0.500], [0.000, 0.000, 0.000], [0.500, 0.000, 0.000], [0.500, 0.500, 0.500], [0.750, 0.854, 0.436], [0.250, 0.146, 0.564], [0.250, 0.354, 0.064], [0.750, 0.646, 0.936], [0.250, 0.894, 0.191], [0.250, 0.606, 0.691], [0.750, 0.394, 0.309], [0.750, 0.106, 0.809], [0.555, 0.094, 0.877], [0.055, 0.906, 0.123], [0.445, 0.594, 0.623], [0.945, 0.406, 0.377], [0.445, 0.906, 0.123], [0.945, 0.094, 0.877], [0.555, 0.406, 0.377], [0.055, 0.594, 0.623], [0.750, 0.836, 0.984], [0.250, 0.164, 0.016], [0.250, 0.336, 0.516], [0.750, 0.664, 0.484], [0.250, 0.636, 0.450], [0.750, 0.364, 0.550], [0.750, 0.136, 0.050], [0.250, 0.864, 0.950], [0.250, 0.725, 0.252], [0.750, 0.275, 0.748], [0.750, 0.225, 0.248], [0.250, 0.775, 0.752], [0.946, 0.635, 0.874], [0.446, 0.365, 0.126], [0.054, 0.135, 0.626], [0.554, 0.865, 0.374], [0.054, 0.365, 0.126], [0.554, 0.635, 0.874], [0.946, 0.865, 0.374], [0.446, 0.135, 0.626], [0.250, 0.012, 0.482], [0.750, 0.535, 0.230], [0.750, 0.965, 0.730], [0.250, 0.035, 0.270], [0.250, 0.488, 0.982], [0.750, 0.512, 0.018], [0.750, 0.988, 0.518], [0.250, 0.465, 0.770]]
}